1.
A relaxed SrCaYNbO6 crystal, computed with GGA-PBE.

Properties
MP2020-corrected energy	-8.3221	eV/atom

a b c (Å): 8.407 8.407 8.407
angles (deg): 90.00 90.00 90.00
Space group F-43m (No. 216)
One atom of each set of equivalent atoms:
Sr 0.000 0.000 0.000
Ca 0.000 0.000 0.500
Y 0.250 0.250 0.250
Nb 0.250 0.250 0.750
O 0.012 0.250 0.750

***

2.
A relaxed Ca2TiNb2O8 crystal, computed with GGA-PBE.

Properties
MP2020-corrected energy	-8.6384	eV/atom

a b c (Å): 18.556 6.345 5.507
angles (deg): 90.00 91.66 90.00
Space group C2/c (No. 15)
One atom of each set of equivalent atoms:
Ca 0.205 0.180 0.240
Ti 0.000 0.123 0.250
Nb 0.109 0.356 0.759
O 0.054 0.128 0.581
O 0.066 0.353 0.107
O 0.177 0.442 0.489
O 0.185 0.155 0.836

***

3.
A relaxed Ca3Nd crystal, computed with GGA-PBE.

Properties
E	-2.6076	eV/atom

a b c (Å): 8.546 8.546 8.546
angles (deg): 90.00 90.00 90.00
Space group Fm-3m (No. 225)
One atom of each set of equivalent atoms:
Ca 0.000 0.000 0.000
Ca 0.250 0.250 0.250
Nd 0.000 0.000 0.500

***

4.
A relaxed CaNd4Rh4O12 crystal, computed with GGA-PBE.

Properties
MP2020-corrected energy	-7.5881	eV/atom

a b c (Å): 6.301 7.556 6.391
angles (deg): 90.00 107.02 90.00
Space group Pm (No. 6)
One atom of each set of equivalent atoms:
Ca 0.000 0.000 0.000
Nd 0.393 0.500 0.551
Nd 0.434 0.000 0.740
Nd 0.748 0.000 0.327
Nd 0.875 0.500 0.106
Rh 0.423 0.264 0.144
Rh 0.941 0.271 0.669
O 0.042 0.000 0.646
O 0.162 0.303 0.270
O 0.270 0.302 0.812
O 0.352 0.000 0.085
O 0.546 0.500 0.224
O 0.591 0.211 0.504
O 0.696 0.196 0.021
O 0.814 0.500 0.724

***

5.
A relaxed Ca3Nd2Sb3O14 crystal, computed with GGA-PBE.

Properties
MP2020-corrected energy	-7.2297	eV/atom

a b c (Å): 13.022 7.592 7.492
angles (deg): 90.00 124.43 90.00
Space group C2/m (No. 12)
One atom of each set of equivalent atoms:
Ca 0.000 0.000 0.000
Ca 0.000 0.000 0.500
Ca 0.000 0.500 0.000
Nd 0.250 0.250 0.500
Sb 0.000 0.500 0.500
Sb 0.250 0.250 0.000
O 0.097 0.500 0.371
O 0.113 0.298 0.683
O 0.124 0.000 0.380
O 0.140 0.269 0.099
O 0.186 0.000 0.912

***

6.
A relaxed Ca2NdTaO6 crystal, computed with GGA-PBE.

Properties
MP2020-corrected energy	-8.5973	eV/atom

a b c (Å): 5.659 5.936 9.952
angles (deg): 90.00 124.44 90.00
Space group Pc (No. 7)
One atom of each set of equivalent atoms:
Ca 0.000 0.195 0.000
Ca 0.231 0.247 0.745
Nd 0.460 0.307 0.489
Ta 0.729 0.249 0.243
O 0.077 0.075 0.299
O 0.389 0.428 0.193
O 0.491 0.036 0.673
O 0.617 0.308 0.016
O 0.840 0.193 0.474
O 0.974 0.469 0.816

***

7.
A relaxed CaNd2Ti2ZnO9 crystal, computed with GGA-PBE.

Properties
MP2020-corrected energy	-8.2832	eV/atom

a b c (Å): 5.475 5.723 23.331
angles (deg): 89.98 89.80 89.70
Space group P1 (No. 1)
One atom of each set of equivalent atoms:
Ca 0.000 0.000 0.000
Ca 0.001 0.000 0.332
Ca 0.497 0.612 0.506
Ca 0.502 0.610 0.175
Nd 0.010 0.990 0.669
Nd 0.473 0.488 0.668
Nd 0.476 0.479 0.333
Nd 0.479 0.480 0.002
Nd 0.512 0.612 0.838
Nd 0.975 0.113 0.504
Nd 0.976 0.115 0.173
Nd 0.977 0.113 0.838
Ti 0.002 0.555 0.920
Ti 0.463 0.032 0.417
Ti 0.464 0.032 0.085
Ti 0.494 0.051 0.753
Ti 0.967 0.564 0.421
Ti 0.967 0.565 0.089
Ti 0.982 0.554 0.586
Ti 0.993 0.559 0.253
Zn 0.490 0.040 0.254
Zn 0.490 0.045 0.585
Zn 0.491 0.046 0.922
Zn 0.993 0.551 0.753
O 0.084 0.526 0.500
O 0.085 0.528 0.168
O 0.089 0.522 0.840
O 0.180 0.261 0.601
O 0.185 0.266 0.938
O 0.187 0.265 0.268
O 0.200 0.248 0.403
O 0.201 0.243 0.736
O 0.201 0.249 0.072
O 0.282 0.740 0.601
O 0.289 0.735 0.267
O 0.291 0.736 0.935
O 0.291 0.754 0.402
O 0.292 0.754 0.070
O 0.307 0.761 0.735
O 0.396 0.021 0.834
O 0.402 0.022 0.498
O 0.404 0.023 0.166
O 0.590 0.075 0.341
O 0.590 0.082 0.672
O 0.591 0.076 0.009
O 0.683 0.339 0.771
O 0.704 0.362 0.906
O 0.704 0.363 0.569
O 0.706 0.358 0.435
O 0.707 0.358 0.103
O 0.710 0.362 0.239
O 0.788 0.861 0.770
O 0.793 0.843 0.436
O 0.794 0.843 0.105
O 0.806 0.840 0.904
O 0.810 0.845 0.570
O 0.811 0.843 0.238
O 0.894 0.580 0.666
O 0.906 0.580 0.338
O 0.906 0.583 0.006

***

8.
A relaxed CaNdRh2 crystal, computed with GGA-PBE.

Properties
E	-5.8858	eV/atom

a b c (Å): 6.974 6.974 6.974
angles (deg): 90.00 90.00 90.00
Space group Fm-3m (No. 225)
One atom of each set of equivalent atoms:
Ca 0.000 0.000 0.000
Nd 0.000 0.000 0.500
Rh 0.250 0.250 0.250